Record 1
VASP calculation (PBE) on a relaxed structure of AlPb3OF9.

Output
Uncorrected energy (eV/atom): -5.1428
Corrected total energy (MP2020 scheme) (eV per atom): -5.45
E_form (meV/atom): -2804
Total magnetic moment (μB per formula unit): 1.00

Cell lengths 5.871, 5.754, 26.806 Å; angles 90.00, 100.74, 90.00 degrees
Sites, in units of the cell vectors:
Al: 0.162 0.199 0.403
Al: 0.162 0.301 0.903
Al: 0.838 0.699 0.097
Al: 0.838 0.801 0.597
Pb: 0.030 0.698 0.309
Pb: 0.030 0.802 0.809
Pb: 0.343 0.214 0.075
Pb: 0.343 0.286 0.575
Pb: 0.435 0.670 0.195
Pb: 0.435 0.830 0.695
Pb: 0.565 0.170 0.305
Pb: 0.565 0.330 0.805
Pb: 0.657 0.714 0.425
Pb: 0.657 0.786 0.925
Pb: 0.970 0.198 0.191
Pb: 0.970 0.302 0.691
O: 0.067 0.583 0.501
O: 0.067 0.917 0.001
O: 0.933 0.083 0.999
O: 0.933 0.417 0.499
F: 0.006 0.529 0.604
F: 0.006 0.971 0.104
F: 0.027 0.145 0.334
F: 0.027 0.355 0.834
F: 0.083 0.537 0.080
F: 0.083 0.963 0.580
F: 0.250 0.070 0.755
F: 0.250 0.430 0.255
F: 0.256 0.562 0.750
F: 0.256 0.938 0.250
F: 0.310 0.232 0.467
F: 0.310 0.268 0.967
F: 0.317 0.577 0.894
F: 0.317 0.923 0.394
F: 0.349 0.248 0.663
F: 0.349 0.252 0.163
F: 0.400 0.136 0.880
F: 0.400 0.364 0.380
F: 0.600 0.636 0.620
F: 0.600 0.864 0.120
F: 0.651 0.748 0.837
F: 0.651 0.752 0.337
F: 0.683 0.077 0.606
F: 0.683 0.423 0.106
F: 0.690 0.732 0.033
F: 0.690 0.768 0.533
F: 0.744 0.062 0.750
F: 0.744 0.438 0.250
F: 0.750 0.570 0.745
F: 0.750 0.930 0.245
F: 0.917 0.037 0.420
F: 0.917 0.463 0.920
F: 0.973 0.645 0.166
F: 0.973 0.855 0.666
F: 0.994 0.029 0.896
F: 0.994 0.471 0.396


Record 2
VASP calculation (PBE) on a relaxed structure of Rb2AlOF5.

Output
Uncorrected energy (eV/atom): -4.7884
Corrected total energy (MP2020 scheme) (eV per atom): -5.12
E_form (meV/atom): -2874
Total magnetic moment (μB per formula unit): 2.00

Cell lengths 6.395, 6.395, 7.636 Å; angles 90.00, 90.00, 80.51 degrees
Sites, in units of the cell vectors:
Rb: 0.001 0.544 0.750
Rb: 0.456 0.999 0.750
Rb: 0.544 0.001 0.250
Rb: 0.999 0.456 0.250
Al: 0.500 0.500 0.000
Al: 0.500 0.500 0.500
O: 0.070 0.930 0.250
O: 0.930 0.070 0.750
F: 0.281 0.719 0.008
F: 0.281 0.719 0.492
F: 0.316 0.316 0.000
F: 0.316 0.316 0.500
F: 0.489 0.511 0.750
F: 0.511 0.489 0.250
F: 0.684 0.684 0.000
F: 0.684 0.684 0.500
F: 0.719 0.281 0.508
F: 0.719 0.281 0.992


Record 3
VASP calculation (PBE) on a relaxed structure of Y4AlSi2O10F5.

Output
Uncorrected energy (eV/atom): -7.7166
Corrected total energy (MP2020 scheme) (eV per atom): -8.13
E_form (meV/atom): -3610
Total magnetic moment (μB per formula unit): 0.02

Cell lengths 8.764, 8.764, 4.315 Å; angles 98.20, 98.20, 118.23 degrees
Sites, in units of the cell vectors:
Y: 0.131 0.869 0.000
Y: 0.228 0.517 0.703
Y: 0.517 0.228 0.703
Y: 0.869 0.131 0.000
Al: 0.676 0.676 0.828
Si: 0.528 0.839 0.338
Si: 0.839 0.528 0.338
O: 0.029 0.609 0.600
O: 0.336 0.773 0.090
O: 0.468 0.468 0.881
O: 0.492 0.680 0.532
O: 0.609 0.029 0.600
O: 0.680 0.492 0.532
O: 0.680 0.862 0.131
O: 0.773 0.336 0.090
O: 0.862 0.680 0.131
O: 0.866 0.866 0.720
F: 0.104 0.104 0.168
F: 0.138 0.419 0.150
F: 0.241 0.971 0.563
F: 0.419 0.138 0.150
F: 0.971 0.241 0.563


Record 4
VASP calculation (PBE) on a relaxed structure of Sr15Al6O2F48.

Output
Uncorrected energy (eV/atom): -5.7151
Corrected total energy (MP2020 scheme) (eV per atom): -6.05
E_form (meV/atom): -3940
Total magnetic moment (μB per formula unit): 4.00

Cell lengths 7.401, 7.401, 42.708 Å; angles 90.00, 90.00, 118.23 degrees
Sites, in units of the cell vectors:
Sr: 0.000 0.000 0.000
Sr: 0.000 0.000 0.095
Sr: 0.000 0.000 0.238
Sr: 0.000 0.000 0.333
Sr: 0.000 0.000 0.428
Sr: 0.000 0.000 0.572
Sr: 0.000 0.000 0.667
Sr: 0.000 0.000 0.762
Sr: 0.000 0.000 0.905
Sr: 0.000 0.500 0.124
Sr: 0.000 0.500 0.291
Sr: 0.000 0.500 0.457
Sr: 0.000 0.500 0.624
Sr: 0.000 0.500 0.791
Sr: 0.000 0.500 0.957
Sr: 0.500 0.000 0.043
Sr: 0.500 0.000 0.209
Sr: 0.500 0.000 0.376
Sr: 0.500 0.000 0.543
Sr: 0.500 0.000 0.709
Sr: 0.500 0.000 0.876
Sr: 0.500 0.500 0.071
Sr: 0.500 0.500 0.167
Sr: 0.500 0.500 0.261
Sr: 0.500 0.500 0.405
Sr: 0.500 0.500 0.500
Sr: 0.500 0.500 0.595
Sr: 0.500 0.500 0.739
Sr: 0.500 0.500 0.833
Sr: 0.500 0.500 0.929
Al: 0.000 0.500 0.040
Al: 0.000 0.500 0.207
Al: 0.000 0.500 0.374
Al: 0.000 0.500 0.540
Al: 0.000 0.500 0.707
Al: 0.000 0.500 0.874
Al: 0.500 0.000 0.126
Al: 0.500 0.000 0.293
Al: 0.500 0.000 0.460
Al: 0.500 0.000 0.626
Al: 0.500 0.000 0.793
Al: 0.500 0.000 0.960
O: 0.000 0.000 0.167
O: 0.000 0.000 0.500
O: 0.000 0.000 0.833
O: 0.500 0.500 0.000
F: 0.001 0.332 0.343
F: 0.001 0.332 0.676
F: 0.002 0.332 0.010
F: 0.016 0.680 0.071
F: 0.016 0.680 0.404
F: 0.016 0.680 0.737
F: 0.122 0.783 0.207
F: 0.122 0.783 0.541
F: 0.122 0.783 0.874
F: 0.135 0.242 0.951
F: 0.136 0.243 0.284
F: 0.136 0.243 0.618
F: 0.168 0.498 0.176
F: 0.168 0.498 0.510
F: 0.168 0.498 0.843
F: 0.180 0.516 0.237
F: 0.180 0.516 0.571
F: 0.180 0.516 0.904
F: 0.217 0.878 0.126
F: 0.217 0.878 0.459
F: 0.217 0.878 0.793
F: 0.242 0.135 0.049
F: 0.243 0.136 0.382
F: 0.243 0.136 0.716
F: 0.258 0.365 0.118
F: 0.258 0.365 0.451
F: 0.258 0.365 0.784
F: 0.283 0.622 0.041
F: 0.284 0.621 0.374
F: 0.284 0.621 0.707
F: 0.320 0.984 0.263
F: 0.320 0.984 0.596
F: 0.320 0.984 0.929
F: 0.332 0.001 0.324
F: 0.332 0.001 0.657
F: 0.332 0.002 0.990
F: 0.365 0.258 0.216
F: 0.365 0.258 0.549
F: 0.365 0.258 0.882
F: 0.378 0.717 0.959
F: 0.379 0.716 0.293
F: 0.379 0.716 0.626
F: 0.484 0.820 0.096
F: 0.484 0.820 0.429
F: 0.484 0.820 0.763
F: 0.498 0.168 0.157
F: 0.498 0.168 0.490
F: 0.498 0.168 0.824
F: 0.502 0.832 0.157
F: 0.502 0.832 0.490
F: 0.502 0.832 0.824
F: 0.516 0.180 0.096
F: 0.516 0.180 0.429
F: 0.516 0.180 0.763
F: 0.621 0.284 0.293
F: 0.621 0.284 0.626
F: 0.622 0.283 0.959
F: 0.635 0.742 0.216
F: 0.635 0.742 0.549
F: 0.635 0.742 0.882
F: 0.668 0.998 0.990
F: 0.668 0.999 0.324
F: 0.668 0.999 0.657
F: 0.680 0.016 0.263
F: 0.680 0.016 0.596
F: 0.680 0.016 0.929
F: 0.716 0.379 0.374
F: 0.716 0.379 0.707
F: 0.717 0.378 0.041
F: 0.742 0.635 0.118
F: 0.742 0.635 0.451
F: 0.742 0.635 0.784
F: 0.757 0.864 0.382
F: 0.757 0.864 0.716
F: 0.758 0.865 0.049
F: 0.783 0.122 0.126
F: 0.783 0.122 0.459
F: 0.783 0.122 0.793
F: 0.820 0.484 0.237
F: 0.820 0.484 0.571
F: 0.820 0.484 0.904
F: 0.832 0.502 0.176
F: 0.832 0.502 0.510
F: 0.832 0.502 0.843
F: 0.864 0.757 0.284
F: 0.864 0.757 0.618
F: 0.865 0.758 0.951
F: 0.878 0.217 0.207
F: 0.878 0.217 0.541
F: 0.878 0.217 0.874
F: 0.984 0.320 0.071
F: 0.984 0.320 0.404
F: 0.984 0.320 0.737
F: 0.998 0.668 0.010
F: 0.999 0.668 0.343
F: 0.999 0.668 0.676


Record 5
VASP calculation (PBE) on a relaxed structure of Sr3AlO4F.

Output
Uncorrected energy (eV/atom): -6.4553
Corrected total energy (MP2020 scheme) (eV per atom): -6.81
E_form (meV/atom): -3421
Total magnetic moment (μB per formula unit): 0.00

Cell lengths 7.421, 7.421, 7.421 Å; angles 125.15, 125.15, 81.28 degrees
Sites, in units of the cell vectors:
Sr: 0.169 0.669 0.837
Sr: 0.250 0.250 0.000
Sr: 0.331 0.169 0.500
Sr: 0.669 0.831 0.500
Sr: 0.750 0.750 0.000
Sr: 0.831 0.331 0.163
Al: 0.250 0.750 0.500
Al: 0.750 0.250 0.500
O: 0.006 0.790 0.500
O: 0.210 0.710 0.216
O: 0.290 0.506 0.500
O: 0.494 0.994 0.784
O: 0.506 0.006 0.216
O: 0.710 0.494 0.500
O: 0.790 0.290 0.784
O: 0.994 0.210 0.500
F: 0.000 0.000 0.000
F: 0.500 0.500 0.000


Record 6
VASP calculation (PBE) on a relaxed structure of AlTl2OF5.

Output
Uncorrected energy (eV/atom): -4.6855
Corrected total energy (MP2020 scheme) (eV per atom): -5.02
E_form (meV/atom): -2464
Total magnetic moment (μB per formula unit): 2.00

Cell lengths 6.546, 6.546, 7.413 Å; angles 90.00, 90.00, 88.70 degrees
Sites, in units of the cell vectors:
Al: 0.000 0.000 0.000
Al: 0.000 0.000 0.500
Tl: 0.149 0.476 0.750
Tl: 0.476 0.149 0.250
Tl: 0.524 0.851 0.750
Tl: 0.851 0.524 0.250
O: 0.486 0.514 0.750
O: 0.514 0.486 0.250
F: 0.028 0.972 0.250
F: 0.196 0.196 0.000
F: 0.196 0.196 0.500
F: 0.196 0.804 0.530
F: 0.196 0.804 0.970
F: 0.804 0.196 0.030
F: 0.804 0.196 0.470
F: 0.804 0.804 0.000
F: 0.804 0.804 0.500
F: 0.972 0.028 0.750


Record 7
VASP calculation (PBE) on a relaxed structure of AlTl2OF5.

Output
Uncorrected energy (eV/atom): -4.6320
Corrected total energy (MP2020 scheme) (eV per atom): -4.97
E_form (meV/atom): -2410
Total magnetic moment (μB per formula unit): 2.00

Cell lengths 6.311, 6.311, 7.657 Å; angles 90.00, 90.00, 79.04 degrees
Sites, in units of the cell vectors:
Al: 0.000 0.000 0.000
Al: 0.000 0.000 0.500
Tl: 0.095 0.494 0.750
Tl: 0.494 0.095 0.250
Tl: 0.506 0.905 0.750
Tl: 0.905 0.506 0.250
O: 0.452 0.548 0.250
O: 0.548 0.452 0.750
F: 0.007 0.993 0.250
F: 0.187 0.187 0.000
F: 0.187 0.187 0.500
F: 0.224 0.776 0.508
F: 0.224 0.776 0.992
F: 0.776 0.224 0.008
F: 0.776 0.224 0.492
F: 0.813 0.813 0.000
F: 0.813 0.813 0.500
F: 0.993 0.007 0.750